(1)
VASP calculation (GGA+U) on a relaxed MgTiCrP3O12 crystal. Values from VASP.

Crystal system   trigonal
Uncorrected energy   -7.594 eV/atom
ΔH_f (0 K)   -2899 meV per atom

Cell and atoms, written as Quantum ESPRESSO input:
```
&SYSTEM
  ibrav = 0, nat = 36, ntyp = 5
/
ATOMIC_SPECIES
Mg 24.30 Mg.upf
Ti 47.87 Ti.upf
Cr 52.00 Cr.upf
P 30.97 P.upf
O 16.00 O.upf
CELL_PARAMETERS angstrom
4.298 2.482 6.942
-4.298 2.482 6.942
0.000 -4.963 6.942
ATOMIC_POSITIONS angstrom
Mg 0.000 0.000 0.000
Mg 0.000 0.000 10.414
Ti 0.000 0.000 7.376
Ti 0.000 0.000 17.789
Cr 0.000 0.000 2.931
Cr 0.000 0.000 13.344
P -3.036 -0.291 8.629
P -1.262 -2.773 12.100
P 1.770 -2.484 8.629
P -1.770 2.479 12.100
P 1.266 2.775 8.629
P 3.032 0.294 12.100
O -3.654 1.127 8.514
O -2.811 -2.638 12.284
O -0.831 -1.396 6.433
O -0.863 -3.510 10.847
O -1.487 -0.156 8.813
O 0.851 -3.728 8.514
O -0.793 1.417 6.433
O -2.608 2.503 10.847
O -0.644 -1.355 11.985
O 0.879 -1.210 8.813
O -1.690 0.021 14.318
O 1.624 -0.021 6.433
O -0.851 1.235 11.985
O 0.608 1.366 8.813
O -1.624 -0.021 16.846
O 0.827 -1.474 14.318
O -0.879 3.754 12.284
O 1.495 0.119 11.985
O 0.831 -1.396 16.846
O 0.863 1.453 14.318
O 2.803 2.601 8.514
O 3.690 -1.116 12.284
O 3.471 1.008 10.847
O 0.793 1.417 16.846
```



(2)
VASP calculation (GGA+U) on a relaxed Li9Mn2Co5O16 crystal. Values from VASP.

Crystal system   monoclinic
Uncorrected energy   -5.817 eV/atom
ΔH_f (0 K)   -1827 meV per atom

Cell and atoms, written as Quantum ESPRESSO input:
```
&SYSTEM
  ibrav = 0, nat = 32, ntyp = 4
/
ATOMIC_SPECIES
Li 6.94 Li.upf
Mn 54.94 Mn.upf
Co 58.93 Co.upf
O 16.00 O.upf
CELL_PARAMETERS angstrom
8.407 0.000 0.000
0.000 2.885 0.000
-0.065 0.000 11.820
ATOMIC_POSITIONS angstrom
Li 0.000 0.000 0.000
Li 8.389 0.000 2.847
Li 1.928 1.442 10.366
Li 2.056 1.442 4.372
Li 4.193 0.000 5.831
Li 4.174 0.000 11.814
Li 6.307 1.442 7.350
Li 6.378 1.442 1.388
Li 8.348 0.000 8.840
Mn 2.015 1.442 1.412
Mn 4.189 0.000 8.833
Co 2.043 1.442 7.336
Co 4.201 0.000 2.908
Co 6.291 1.442 4.376
Co 6.486 1.442 10.390
Co 8.347 0.000 5.883
O -0.032 1.442 7.288
O 0.184 1.442 1.443
O 2.033 0.000 6.037
O 2.128 0.000 0.114
O 2.125 0.000 2.769
O 2.193 0.000 8.644
O 4.058 1.442 1.505
O 4.082 1.442 10.113
O 4.204 1.442 4.338
O 4.196 1.442 7.512
O 6.074 0.000 8.926
O 6.240 0.000 2.999
O 6.200 0.000 11.683
O 6.306 0.000 5.766
O 8.279 1.442 10.241
O 8.357 1.442 4.486
```



(3)
VASP calculation (GGA+U) on a relaxed Mo5O14 crystal. Values from VASP.

Crystal system   monoclinic
Uncorrected energy   -7.087 eV/atom
ΔH_f (0 K)   -1935 meV per atom

Cell and atoms, written as Quantum ESPRESSO input:
```
&SYSTEM
  ibrav = 0, nat = 76, ntyp = 2
/
ATOMIC_SPECIES
Mo 95.94 Mo.upf
O 16.00 O.upf
CELL_PARAMETERS angstrom
6.855 0.000 0.000
0.000 5.569 0.000
-6.276 0.000 31.505
ATOMIC_POSITIONS angstrom
Mo -1.700 1.304 10.065
Mo -4.838 1.481 25.817
Mo -1.795 4.032 14.649
Mo -4.933 4.322 30.402
Mo 0.916 4.111 2.574
Mo -2.222 4.243 18.326
Mo 0.793 1.291 7.132
Mo -2.345 1.494 22.885
Mo 0.527 4.069 11.646
Mo -2.611 4.285 27.398
Mo 3.189 1.284 4.107
Mo 0.051 1.501 19.860
Mo 2.923 4.076 8.621
Mo -0.215 4.278 24.373
Mo 2.800 1.327 13.179
Mo -0.338 1.458 28.932
Mo 5.512 1.248 1.104
Mo 2.374 1.537 16.856
Mo 5.417 4.088 5.688
Mo 2.278 4.266 21.441
O -3.367 0.227 17.308
O -0.229 2.557 1.555
O -5.758 0.317 30.112
O -2.620 2.467 14.359
O -0.314 4.077 3.881
O -3.452 4.277 19.634
O -3.619 2.825 21.976
O -0.481 5.529 6.223
O -3.491 5.568 22.073
O -0.353 2.786 6.321
O -0.442 1.286 8.764
O -3.580 1.498 24.517
O -3.734 2.992 26.865
O -0.596 5.362 11.112
O -3.578 0.168 26.969
O -0.440 2.617 11.217
O 1.824 4.151 0.632
O -1.314 4.203 16.384
O -0.337 4.108 13.611
O -3.475 4.246 29.364
O 1.818 0.026 3.016
O -1.320 2.759 18.769
O 2.031 2.836 3.125
O -1.108 5.518 18.878
O 1.997 1.307 5.442
O -1.141 1.477 21.195
O -1.338 2.958 23.573
O 1.800 5.396 7.820
O -1.222 0.173 23.685
O 1.916 2.612 7.932
O 1.720 4.092 10.310
O -1.418 4.262 26.063
O 1.686 0.051 12.628
O -1.452 2.733 28.380
O 1.898 2.811 12.736
O -1.240 5.543 28.489
O 4.053 1.323 2.141
O 0.915 1.461 17.894
O 1.893 1.366 15.121
O -1.246 1.419 30.874
O 1.018 2.952 20.289
O 4.156 5.402 4.536
O 1.174 0.208 20.393
O 4.313 2.577 4.641
O 4.159 4.071 6.989
O 1.021 4.283 22.741
O 4.069 0.001 9.432
O 0.931 2.783 25.185
O 1.059 0.040 25.282
O 4.198 2.745 9.530
O 4.031 1.293 11.872
O 0.892 1.492 27.625
O 3.199 3.102 17.146
O 6.337 5.252 1.393
O 0.808 3.012 29.950
O 3.946 5.342 14.198
```



(4)
VASP calculation (GGA+U) on a relaxed Na2CoSi4O10 crystal. Values from VASP.

Crystal system   triclinic
Uncorrected energy   -7.105 eV/atom
ΔH_f (0 K)   -2845 meV per atom

Cell and atoms, written as Quantum ESPRESSO input:
```
&SYSTEM
  ibrav = 0, nat = 34, ntyp = 4
/
ATOMIC_SPECIES
Na 22.99 Na.upf
Co 58.93 Co.upf
Si 28.09 Si.upf
O 16.00 O.upf
CELL_PARAMETERS angstrom
7.016 0.000 0.000
-3.308 7.147 0.000
-2.097 -3.268 9.088
ATOMIC_POSITIONS angstrom
Na -0.805 0.333 4.399
Na -2.826 2.529 8.374
Na 4.437 1.349 0.714
Na 2.416 3.545 4.689
Co 0.982 1.109 0.738
Co 0.629 2.769 8.350
Si -2.602 5.442 2.194
Si -0.665 3.102 2.746
Si 0.215 -1.594 6.798
Si -1.068 3.543 5.798
Si 2.679 0.336 3.291
Si 1.396 5.472 2.290
Si 2.276 0.776 6.342
Si 4.213 -1.563 6.895
O -2.645 6.172 0.763
O -1.315 -1.359 6.201
O -1.923 3.947 2.094
O -0.492 1.707 1.994
O -2.536 4.324 5.819
O -0.997 2.754 4.342
O 1.498 -0.821 3.340
O 0.302 -1.964 8.346
O -0.905 2.542 7.023
O 0.948 -0.194 6.340
O 0.663 4.072 2.749
O 2.516 1.337 2.065
O 1.309 5.842 0.742
O 0.113 4.700 5.749
O 2.608 1.124 4.746
O 4.147 -0.446 3.269
O 2.103 2.172 7.094
O 3.534 -0.069 6.994
O 2.926 5.238 2.887
O 4.256 -2.294 8.325
```



(5)
VASP calculation (GGA+U) on a relaxed NiH2O2 crystal. Values from VASP.

Uncorrected energy   -4.955 eV/atom
ΔH_f (0 K)   -1245 meV per atom

Cell and atoms, written as Quantum ESPRESSO input:
```
&SYSTEM
  ibrav = 0, nat = 10, ntyp = 3
/
ATOMIC_SPECIES
H 1.01 H.upf
O 16.00 O.upf
Ni 58.69 Ni.upf
CELL_PARAMETERS angstrom
-1.870 1.089 -2.309
-1.345 -2.021 -2.031
-7.361 -0.729 5.726
ATOMIC_POSITIONS angstrom
H -7.450 -0.812 1.160
O -3.007 -0.374 -2.303
H -3.770 -0.447 -1.703
Ni -1.400 -1.693 -2.060
O -6.688 -0.739 0.560
H -6.916 -0.554 3.029
Ni -5.080 -2.058 0.803
H -3.236 -0.190 0.167
O -3.998 -0.266 0.767
O -7.678 -0.631 3.630
```



(6)
VASP calculation (GGA+U) on a relaxed LiVPO4F crystal. Values from VASP.

Uncorrected energy   -6.988 eV/atom
ΔH_f (0 K)   -2838 meV per atom

Cell and atoms, written as Quantum ESPRESSO input:
```
&SYSTEM
  ibrav = 0, nat = 32, ntyp = 5
/
ATOMIC_SPECIES
O 16.00 O.upf
F 19.00 F.upf
P 30.97 P.upf
V 50.94 V.upf
Li 6.94 Li.upf
CELL_PARAMETERS angstrom
-1.304 4.903 -1.824
-5.023 0.003 8.951
3.717 4.907 4.155
ATOMIC_POSITIONS angstrom
O -2.037 0.859 3.119
O -2.506 4.111 7.001
F -2.836 8.165 10.131
P -2.970 0.601 6.303
O 0.732 4.048 2.521
V -5.023 0.003 8.951
P 0.360 9.212 4.978
O -3.342 5.766 8.761
Li -1.450 7.005 3.337
O 0.199 3.815 6.519
O -2.651 3.363 9.300
O 2.212 5.999 3.275
P -3.358 4.309 8.288
O 0.041 6.450 1.982
Li -1.451 7.009 10.802
V 1.859 2.454 2.077
O -0.573 8.955 8.162
P 0.747 5.505 2.993
O -0.104 5.703 4.281
Li -1.160 2.808 7.944
Li -1.160 2.804 0.480
O -2.809 5.998 4.762
O 1.212 9.015 3.691
V -1.305 4.907 5.641
F 0.226 1.648 1.150
O 1.068 8.267 5.989
F -1.079 6.556 6.791
O -3.678 1.546 5.292
F -1.532 3.257 4.490
O -4.822 3.814 8.006
O -3.822 0.798 7.591
V -3.164 2.453 3.563
```



(7)
VASP calculation (GGA+U) on a relaxed LiCoPO4 crystal. Values from VASP.

Crystal system   triclinic
Uncorrected energy   -6.603 eV/atom
ΔH_f (0 K)   -2340 meV per atom

Cell and atoms, written as Quantum ESPRESSO input:
```
&SYSTEM
  ibrav = 0, nat = 28, ntyp = 4
/
ATOMIC_SPECIES
Li 6.94 Li.upf
Co 58.93 Co.upf
P 30.97 P.upf
O 16.00 O.upf
CELL_PARAMETERS angstrom
5.101 0.000 0.000
2.431 7.984 0.000
0.074 1.788 8.670
ATOMIC_POSITIONS angstrom
Li 0.000 0.000 0.000
Li 2.505 6.919 3.150
Li 2.583 0.932 4.319
Li 5.086 7.799 7.492
Co 2.474 4.792 0.581
Co 2.597 3.036 6.901
Co 5.079 5.699 4.908
Co 5.113 2.163 2.567
P 2.535 6.404 6.267
P 2.561 1.440 1.203
P 5.053 5.531 1.917
P 5.137 2.330 5.544
O 1.854 7.153 7.462
O 0.714 1.576 4.351
O 0.845 2.057 6.855
O 1.087 0.944 1.381
O 2.555 4.905 6.535
O 2.566 2.937 0.909
O 4.003 6.920 6.091
O 4.219 5.797 0.621
O 4.379 6.270 3.120
O 3.230 0.673 0.017
O 3.365 1.175 2.518
O 3.669 1.812 5.719
O 5.116 4.033 2.191
O 5.112 3.825 5.256
O 6.514 6.070 1.723
O 6.827 6.685 4.956
```



(8)
VASP calculation (GGA+U) on a relaxed Mn12O7F17 crystal. Values from VASP.

Crystal system   triclinic
Uncorrected energy   -6.544 eV/atom
ΔH_f (0 K)   -2531 meV per atom

Cell and atoms, written as Quantum ESPRESSO input:
```
&SYSTEM
  ibrav = 0, nat = 36, ntyp = 3
/
ATOMIC_SPECIES
Mn 54.94 Mn.upf
O 16.00 O.upf
F 19.00 F.upf
CELL_PARAMETERS angstrom
5.347 0.000 0.000
-0.266 5.392 0.000
0.000 -1.426 15.155
ATOMIC_POSITIONS angstrom
Mn 0.000 0.000 0.000
Mn 5.230 1.174 12.457
Mn 0.050 -0.327 4.717
Mn -0.069 2.276 2.423
Mn 2.441 -0.738 12.322
Mn 2.485 2.064 15.063
Mn 2.539 2.668 5.058
Mn 2.549 2.294 9.942
Mn 2.762 0.535 2.207
Mn 3.271 -0.473 7.413
Mn 4.752 4.441 9.979
Mn 5.067 2.521 7.323
O 0.704 -0.113 11.356
O 1.038 1.064 1.353
O 3.374 3.653 11.059
O 3.357 4.943 0.832
O 3.685 3.411 8.604
O 4.031 3.929 6.126
O 4.397 0.801 3.239
F 0.689 1.371 6.001
F 0.708 3.677 1.112
F 0.896 3.288 9.003
F 0.945 2.522 11.503
F 1.096 3.578 3.782
F 1.392 3.953 6.447
F 1.442 3.565 14.012
F 1.664 0.823 13.712
F 1.831 0.943 3.858
F 2.316 0.651 8.745
F 3.430 1.152 6.285
F 3.465 0.962 11.305
F 3.598 2.207 1.007
F 3.915 3.389 3.442
F 4.357 -0.294 13.541
F 4.342 2.371 13.773
F 4.937 0.601 8.577
```



(9)
VASP calculation (GGA+U) on a relaxed Rb5ErHfMo6O24 crystal. Values from VASP.

Crystal system   trigonal
Uncorrected energy   -6.965 eV/atom
ΔH_f (0 K)   -2437 meV per atom

Cell and atoms, written as Quantum ESPRESSO input:
```
&SYSTEM
  ibrav = 0, nat = 74, ntyp = 5
/
ATOMIC_SPECIES
Rb 85.47 Rb.upf
Er 167.26 Er.upf
Hf 178.49 Hf.upf
Mo 95.94 Mo.upf
O 16.00 O.upf
CELL_PARAMETERS angstrom
5.482 3.165 13.237
-5.482 3.165 13.237
0.000 -6.330 13.237
ATOMIC_POSITIONS angstrom
Rb -3.346 0.535 16.547
Rb 0.000 0.000 5.826
Rb -2.136 -2.630 23.166
Rb 0.000 0.000 14.031
Rb 1.210 -3.165 16.547
Rb -1.210 3.165 23.166
Rb 0.000 0.000 25.682
Rb 2.136 2.630 16.547
Rb 0.000 0.000 33.887
Rb 3.346 -0.535 23.166
Er 0.000 0.000 0.000
Er 0.000 0.000 19.856
Hf 0.000 0.000 9.928
Hf 0.000 0.000 29.784
Mo -3.208 0.383 11.909
Mo -2.275 -2.782 18.527
Mo -3.547 0.579 21.185
Mo 1.272 -2.969 11.909
Mo -1.935 -2.587 27.804
Mo 1.272 -3.361 21.185
Mo -1.272 3.361 18.527
Mo 1.935 2.587 11.909
Mo -1.272 2.969 27.804
Mo 3.547 -0.579 18.527
Mo 2.275 2.782 21.185
Mo 3.208 -0.383 27.804
O -4.274 1.854 11.867
O -1.540 -0.721 8.721
O -2.947 -0.010 13.600
O -1.462 -4.139 17.738
O 0.531 -4.628 11.867
O -2.535 -3.175 20.218
O -4.316 -0.803 21.975
O -1.462 -2.191 15.356
O -4.017 0.608 19.494
O -1.540 0.721 11.135
O 0.146 -1.694 11.135
O -3.742 -2.774 27.845
O -1.209 -1.311 18.486
O 1.394 -0.974 8.721
O 0.146 1.694 8.721
O 1.482 -2.547 13.600
O -2.854 3.336 17.738
O -2.629 0.171 24.356
O -1.465 -2.557 26.113
O -1.740 0.391 21.227
O -1.166 2.362 15.356
O 1.482 -3.783 19.494
O 1.394 0.974 11.135
O 0.531 -1.702 21.227
O -0.531 1.702 18.486
O -1.394 -0.974 28.577
O -1.482 3.783 20.218
O 1.166 -2.362 24.356
O 1.740 -0.391 18.486
O 1.465 2.557 13.600
O 2.629 -0.171 15.356
O 2.854 -3.336 21.975
O -1.482 2.547 26.113
O -0.146 -1.694 30.991
O -1.394 0.974 30.991
O 1.209 1.311 21.227
O 3.742 2.774 11.867
O -0.146 1.694 28.577
O 1.540 -0.721 28.577
O 4.017 -0.608 20.218
O 1.462 2.191 24.356
O 4.316 0.803 17.738
O 2.535 3.175 19.494
O -0.531 4.628 27.845
O 1.462 4.139 21.975
O 2.947 0.010 26.113
O 1.540 0.721 30.991
O 4.274 -1.854 27.845
```